The following is a DFT calculation (PBE with a Hubbard U) of a geometry-optimized PuCoH24C4N6O13 structure.

Calculated values
Energy above the lowest structure with this stoichiometry ... 0 kJ/mol of formula units

Unit cell a=8.2778 b=8.5584 c=14.6087 alpha=102.20 beta=100.76 gamma=107.33
Positions (direct):
Pu (0.1402, 0.4878, 0.1355)
Pu (0.8598, 0.5122, 0.8645)
Co (0.0000, 0.5000, 0.5000)
Co (0.5000, 0.0000, 0.0000)
H (0.0136, 0.2192, 0.5205)
H (0.0172, 0.7649, 0.6259)
H (0.0299, 0.3403, 0.6292)
H (0.0752, 0.4060, 0.3411)
H (0.1404, 0.6654, 0.6750)
H (0.1768, 0.9254, 0.9912)
H (0.1950, 0.0750, 0.6381)
H (0.2031, 0.3730, 0.5842)
H (0.2183, 0.0529, 0.5293)
H (0.2467, 0.8911, 0.8499)
H (0.2644, 0.7643, 0.5334)
H (0.2816, 0.9086, 0.0944)
H (0.2828, 0.6109, 0.4496)
H (0.2861, 0.0660, 0.3877)
H (0.2899, 0.1018, 0.0822)
H (0.3033, 0.6938, 0.9163)
H (0.3308, 0.6137, 0.5658)
H (0.3471, 0.2365, 0.4717)
H (0.3507, 0.0916, 0.8611)
H (0.3639, 0.8655, 0.2711)
H (0.4091, 0.7076, 0.0266)
H (0.4297, 0.9425, 0.8153)
H (0.4597, 0.0314, 0.6474)
H (0.4897, 0.2969, 0.0634)
H (0.5103, 0.7031, 0.9366)
H (0.5403, 0.9686, 0.3526)
H (0.5703, 0.0575, 0.1847)
H (0.5909, 0.2924, 0.9734)
H (0.6361, 0.1345, 0.7289)
H (0.6493, 0.9084, 0.1389)
H (0.6529, 0.7635, 0.5283)
H (0.6692, 0.3863, 0.4342)
H (0.6967, 0.3062, 0.0837)
H (0.7101, 0.8982, 0.9178)
H (0.7139, 0.9340, 0.6123)
H (0.7172, 0.3891, 0.5504)
H (0.7184, 0.0914, 0.9056)
H (0.7356, 0.2357, 0.4666)
H (0.7533, 0.1089, 0.1501)
H (0.7817, 0.9471, 0.4707)
H (0.7969, 0.6270, 0.4158)
H (0.8050, 0.9250, 0.3619)
H (0.8232, 0.0746, 0.0088)
H (0.8596, 0.3346, 0.3250)
H (0.9248, 0.5940, 0.6589)
H (0.9701, 0.6597, 0.3708)
H (0.9828, 0.2351, 0.3741)
H (0.9864, 0.7808, 0.4795)
C (0.0930, 0.2718, 0.7930)
C (0.1315, 0.2978, 0.9049)
C (0.4391, 0.5138, 0.3312)
C (0.4807, 0.4021, 0.2462)
C (0.5193, 0.5979, 0.7538)
C (0.5609, 0.4862, 0.6688)
C (0.8685, 0.7022, 0.0951)
C (0.9070, 0.7282, 0.2070)
N (0.0225, 0.6480, 0.6289)
N (0.0686, 0.3416, 0.5658)
N (0.2468, 0.6368, 0.5134)
N (0.2885, 0.9834, 0.0478)
N (0.3704, 0.9808, 0.8671)
N (0.4235, 0.7481, 0.9662)
N (0.5765, 0.2519, 0.0338)
N (0.6296, 0.0192, 0.1329)
N (0.7115, 0.0166, 0.9522)
N (0.7532, 0.3632, 0.4866)
N (0.9314, 0.6584, 0.4342)
N (0.9775, 0.3520, 0.3711)
O (0.0093, 0.6550, 0.2415)
O (0.0311, 0.7120, 0.8693)
O (0.0795, 0.4128, 0.9514)
O (0.1648, 0.1849, 0.7470)
O (0.2073, 0.2148, 0.9439)
O (0.2193, 0.0004, 0.5844)
O (0.2431, 0.1362, 0.4333)
O (0.2915, 0.5367, 0.3111)
O (0.3086, 0.6919, 0.1421)
O (0.3697, 0.3624, 0.1628)
O (0.3887, 0.6419, 0.7370)
O (0.4278, 0.9760, 0.3202)
O (0.4513, 0.4285, 0.5871)
O (0.5487, 0.5715, 0.4129)
O (0.5722, 0.0240, 0.6798)
O (0.6113, 0.3581, 0.2630)
O (0.6303, 0.6376, 0.8372)
O (0.6914, 0.3081, 0.8579)
O (0.7085, 0.4633, 0.6889)
O (0.7569, 0.8638, 0.5667)
O (0.7807, 0.9996, 0.4156)
O (0.7927, 0.7852, 0.0561)
O (0.8352, 0.8151, 0.2530)
O (0.9205, 0.5872, 0.0486)
O (0.9689, 0.2880, 0.1307)
O (0.9907, 0.3450, 0.7585)

---

The following is a DFT calculation (PBE with a Hubbard U) of a geometry-optimized MgSc2Fe2O6 structure.

Unit cell a=3.2192 b=3.3961 c=13.8412 alpha=87.68 beta=89.94 gamma=61.89
Positions (direct):
Mg (0.0000, 0.0000, 0.0000)
Sc (0.3218, 0.3576, 0.1864)
Sc (0.3716, 0.2278, 0.6036)
Fe (0.0190, 0.9538, 0.3838)
Fe (0.6869, 0.6157, 0.8235)
O (0.0029, 0.9932, 0.2094)
O (0.0400, 0.8914, 0.5391)
O (0.3348, 0.3298, 0.3472)
O (0.3918, 0.2038, 0.8913)
O (0.6891, 0.6200, 0.0612)
O (0.7296, 0.5120, 0.6861)

---

The following is a DFT calculation (PBE with a Hubbard U) of a geometry-optimized Ba10Ru3WCl4O18 structure.

Unit cell a=5.9628 b=5.9628 c=25.1102 alpha=90.00 beta=90.00 gamma=120.00
Positions (direct):
Ba (0.0000, 0.0000, 0.0000)
Ba (0.0000, 0.0000, 0.1574)
Ba (0.0000, 0.0000, 0.4113)
Ba (0.0000, 0.0000, 0.5725)
Ba (0.0000, 0.0000, 0.7463)
Ba (0.6667, 0.3333, 0.0788)
Ba (0.6667, 0.3333, 0.2468)
Ba (0.6667, 0.3333, 0.4976)
Ba (0.6667, 0.3333, 0.6583)
Ba (0.6667, 0.3333, 0.9115)
Ru (0.3333, 0.6667, 0.0218)
Ru (0.3333, 0.6667, 0.1354)
Ru (0.3333, 0.6667, 0.5245)
W (0.3333, 0.6667, 0.6324)
Cl (0.0000, 0.0000, 0.2822)
Cl (0.0000, 0.0000, 0.8735)
Cl (0.6667, 0.3333, 0.3738)
Cl (0.6667, 0.3333, 0.7819)
O (0.0144, 0.5072, 0.1734)
O (0.0149, 0.5074, 0.9833)
O (0.0199, 0.5099, 0.5812)
O (0.1737, 0.3474, 0.4848)
O (0.1737, 0.8263, 0.4848)
O (0.1762, 0.3524, 0.6722)
O (0.1762, 0.8238, 0.6722)
O (0.1830, 0.3659, 0.0784)
O (0.1830, 0.8170, 0.0784)
O (0.4901, 0.5099, 0.5812)
O (0.4901, 0.9801, 0.5812)
O (0.4928, 0.5072, 0.1734)
O (0.4926, 0.5074, 0.9833)
O (0.4926, 0.9851, 0.9833)
O (0.4928, 0.9856, 0.1734)
O (0.6341, 0.8170, 0.0784)
O (0.6476, 0.8238, 0.6722)
O (0.6526, 0.8263, 0.4848)

---

The following is a DFT calculation (PBE with a Hubbard U) of a geometry-optimized TiFeO3 structure.

Unit cell a=5.2911 b=7.5404 c=5.2328 alpha=90.00 beta=90.00 gamma=90.00
Positions (direct):
Ti (0.0000, 0.0000, 0.0000)
Ti (0.0000, 0.5000, 0.0000)
Ti (0.5000, 0.0000, 0.5000)
Ti (0.5000, 0.5000, 0.5000)
Fe (0.0396, 0.2500, 0.4920)
Fe (0.4604, 0.7500, 0.9920)
Fe (0.5396, 0.2500, 0.0080)
Fe (0.9604, 0.7500, 0.5080)
O (0.0568, 0.7500, 0.8948)
O (0.1819, 0.5567, 0.3232)
O (0.1819, 0.9433, 0.3232)
O (0.3181, 0.0567, 0.8232)
O (0.3181, 0.4433, 0.8232)
O (0.4432, 0.2500, 0.3948)
O (0.5568, 0.7500, 0.6052)
O (0.6819, 0.5567, 0.1768)
O (0.6819, 0.9433, 0.1768)
O (0.8181, 0.0567, 0.6768)
O (0.8181, 0.4433, 0.6768)
O (0.9432, 0.2500, 0.1052)

---

The following is a DFT calculation (PBE with a Hubbard U) of a geometry-optimized Na3Mn8O16 structure.

Unit cell a=6.1677 b=12.3736 c=8.4321 alpha=90.00 beta=90.00 gamma=90.00
Positions (direct):
Na (0.2500, 0.0009, 0.1268)
Na (0.2500, 0.4991, 0.1268)
Na (0.2500, 0.7500, 0.3785)
Na (0.7500, 0.2500, 0.6215)
Na (0.7500, 0.5009, 0.8732)
Na (0.7500, 0.9991, 0.8732)
Mn (0.0000, 0.0000, 0.5000)
Mn (0.0000, 0.5000, 0.5000)
Mn (0.0015, 0.2500, 0.0025)
Mn (0.2500, 0.1255, 0.7477)
Mn (0.2500, 0.3745, 0.7477)
Mn (0.2500, 0.6268, 0.7479)
Mn (0.2500, 0.8732, 0.7479)
Mn (0.4985, 0.2500, 0.0025)
Mn (0.5000, 0.0000, 0.5000)
Mn (0.5000, 0.5000, 0.5000)
Mn (0.5015, 0.7500, 0.9975)
Mn (0.7500, 0.1268, 0.2521)
Mn (0.7500, 0.3732, 0.2521)
Mn (0.7500, 0.6255, 0.2523)
Mn (0.7500, 0.8745, 0.2523)
Mn (0.9985, 0.7500, 0.9975)
O (0.0336, 0.2500, 0.7728)
O (0.0386, 0.7500, 0.7633)
O (0.0404, 0.5029, 0.7289)
O (0.0404, 0.9971, 0.7289)
O (0.2500, 0.1058, 0.5168)
O (0.2500, 0.1431, 0.9787)
O (0.2500, 0.3569, 0.9787)
O (0.2500, 0.3942, 0.5168)
O (0.2500, 0.6026, 0.5141)
O (0.2500, 0.6437, 0.9760)
O (0.2500, 0.8563, 0.9760)
O (0.2500, 0.8974, 0.5141)
O (0.4596, 0.5029, 0.7289)
O (0.4596, 0.9971, 0.7289)
O (0.4614, 0.7500, 0.7633)
O (0.4664, 0.2500, 0.7728)
O (0.5336, 0.7500, 0.2272)
O (0.5386, 0.2500, 0.2367)
O (0.5404, 0.0029, 0.2711)
O (0.5404, 0.4971, 0.2711)
O (0.7500, 0.1026, 0.4859)
O (0.7500, 0.1437, 0.0240)
O (0.7500, 0.3563, 0.0240)
O (0.7500, 0.3974, 0.4859)
O (0.7500, 0.6058, 0.4832)
O (0.7500, 0.6431, 0.0213)
O (0.7500, 0.8569, 0.0213)
O (0.7500, 0.8942, 0.4832)
O (0.9596, 0.0029, 0.2711)
O (0.9596, 0.4971, 0.2711)
O (0.9614, 0.2500, 0.2367)
O (0.9664, 0.7500, 0.2272)

---

The following is a DFT calculation (PBE with a Hubbard U) of a geometry-optimized Li2Mn3FeO8 structure.

Calculated values
Energy above the lowest structure with this stoichiometry ... 23 kJ/mol of formula units

Unit cell a=5.9329 b=5.9329 c=5.9329 alpha=60.23 beta=60.23 gamma=60.23
Positions (direct):
Li (0.1209, 0.1209, 0.1209)
Li (0.8791, 0.8791, 0.8791)
Mn (0.0000, 0.5000, 0.5000)
Mn (0.5000, 0.0000, 0.5000)
Mn (0.5000, 0.5000, 0.0000)
Fe (0.5000, 0.5000, 0.5000)
O (0.2590, 0.2590, 0.7079)
O (0.2590, 0.7079, 0.2590)
O (0.2605, 0.2605, 0.2605)
O (0.2921, 0.7410, 0.7410)
O (0.7079, 0.2590, 0.2590)
O (0.7395, 0.7395, 0.7395)
O (0.7410, 0.2921, 0.7410)
O (0.7410, 0.7410, 0.2921)

---

The following is a DFT calculation (PBE with a Hubbard U) of a geometry-optimized LiFeB2O5 structure.

Calculated values
Energy above the lowest structure with this stoichiometry ... 12 kJ/mol of formula units

Unit cell a=6.9536 b=9.5909 c=5.7175 alpha=90.00 beta=105.94 gamma=90.00
Positions (direct):
Li (0.2179, 0.0746, 0.1866)
Li (0.2179, 0.4254, 0.6866)
Li (0.7821, 0.5746, 0.3134)
Li (0.7821, 0.9254, 0.8134)
Fe (0.2461, 0.6710, 0.2834)
Fe (0.2461, 0.8290, 0.7834)
Fe (0.7539, 0.1710, 0.2166)
Fe (0.7539, 0.3290, 0.7166)
B (0.0852, 0.1182, 0.6707)
B (0.0852, 0.3818, 0.1707)
B (0.4518, 0.0931, 0.7443)
B (0.4518, 0.4069, 0.2443)
B (0.5482, 0.5931, 0.7557)
B (0.5482, 0.9069, 0.2557)
B (0.9148, 0.6182, 0.8293)
B (0.9148, 0.8818, 0.3293)
O (0.0681, 0.5035, 0.2864)
O (0.0681, 0.9965, 0.7864)
O (0.0735, 0.7048, 0.9298)
O (0.0735, 0.7952, 0.4298)
O (0.2716, 0.1686, 0.6534)
O (0.2716, 0.3314, 0.1534)
O (0.3766, 0.6679, 0.6582)
O (0.3766, 0.8321, 0.1582)
O (0.4614, 0.5482, 0.2382)
O (0.4614, 0.9518, 0.7382)
O (0.5386, 0.0482, 0.2618)
O (0.5386, 0.4518, 0.7618)
O (0.6234, 0.1679, 0.8418)
O (0.6234, 0.3321, 0.3418)
O (0.7284, 0.6686, 0.8466)
O (0.7284, 0.8314, 0.3466)
O (0.9265, 0.2048, 0.5702)
O (0.9265, 0.2952, 0.0702)
O (0.9319, 0.0035, 0.2136)
O (0.9319, 0.4965, 0.7136)

---

The following is a DFT calculation (PBE with a Hubbard U) of a geometry-optimized MgMn6O10F2 structure.

Calculated values
Energy above the lowest structure with this stoichiometry ... 108 kJ/mol of formula units

Unit cell a=5.0900 b=5.5992 c=7.7603 alpha=81.30 beta=83.37 gamma=83.19
Positions (direct):
Mg (0.0000, 0.0000, 0.0000)
Mn (0.0000, 0.0000, 0.5000)
Mn (0.0102, 0.3728, 0.1787)
Mn (0.4816, 0.8187, 0.1663)
Mn (0.5000, 0.5000, 0.5000)
Mn (0.5184, 0.1813, 0.8337)
Mn (0.9898, 0.6272, 0.8213)
O (0.1493, 0.3001, 0.3883)
O (0.1547, 0.6434, 0.0581)
O (0.3073, 0.1359, 0.0652)
O (0.3171, 0.4718, 0.7352)
O (0.3214, 0.8079, 0.4022)
O (0.6786, 0.1921, 0.5978)
O (0.6829, 0.5282, 0.2648)
O (0.6927, 0.8641, 0.9348)
O (0.8453, 0.3566, 0.9419)
O (0.8507, 0.6999, 0.6117)
F (0.1634, 0.9518, 0.7590)
F (0.8366, 0.0482, 0.2410)

---

Number 1: energy of formation from the pure elements -1.07 eV/atom, total moment 3.000 μB per formula unit. Number 2: energy of formation from the pure elements -2.72 eV/atom, total moment 8.000 μB per formula unit. Number 3: energy of formation from the pure elements -2.53 eV/atom, total moment 8.065 μB per formula unit. Number 4: energy of formation from the pure elements -2.66 eV/atom, total moment 0.000 μB per formula unit. Number 5: energy of formation from the pure elements -1.88 eV/atom, total moment 26.999 μB per formula unit. Number 6: energy of formation from the pure elements -1.99 eV/atom, total moment 15.000 μB per formula unit. Number 7: energy of formation from the pure elements -2.44 eV/atom, total moment 5.001 μB per formula unit. Number 8: energy of formation from the pure elements -2.07 eV/atom, total moment 22.000 μB per formula unit.